[1]
# Li3Mn2VO6, relaxed, DFT PBE+U
data_Li3Mn2VO6
_cell_length_a 2.893
_cell_length_b 14.086
_cell_length_c 5.835
_cell_angle_alpha 77.54
_cell_angle_beta 90.00
_cell_angle_gamma 90.00
_space_group_name_H-M_alt 'P 1'
_space_group_IT_number 1
loop_
_space_group_symop_operation_xyz
'x,y,z'
loop_
_atom_site_label
_atom_site_type_symbol
_atom_site_fract_x
_atom_site_fract_y
_atom_site_fract_z
_atom_site_occupancy
O1 O 0.500 0.663 0.429 1
O2 O 0.500 0.670 0.905 1
O3 O 0.500 0.323 0.566 1
O4 O 0.000 0.163 0.429 1
O5 O 0.000 0.510 0.767 1
O6 O 0.000 0.170 0.905 1
O7 O 0.500 0.998 0.232 1
O8 O 0.000 0.823 0.566 1
O9 O 0.500 0.010 0.767 1
O10 O 0.500 0.335 0.101 1
O11 O 0.000 0.835 0.101 1
O12 O 0.000 0.498 0.232 1
Li1 Li 0.000 0.012 0.490 1
Li2 Li 0.000 0.667 0.167 1
Li3 Li 0.500 0.512 0.490 1
Li4 Li 0.500 0.822 0.843 1
Li5 Li 0.500 0.167 0.167 1
Li6 Li 0.000 0.322 0.843 1
V1 V 0.000 0.667 0.667 1
V2 V 0.500 0.167 0.667 1
Mn1 Mn 0.000 0.330 0.332 1
Mn2 Mn 0.000 0.004 0.001 1
Mn3 Mn 0.500 0.830 0.332 1
Mn4 Mn 0.500 0.504 0.001 1
# Spin magnetization (μB per cell): 0.05
# DFT total energy (eV per cell): -161.4
# Energy relative to the elements (eV per atom): -2.25

[2]
# Li3Mn2V3O12, relaxed, DFT PBE+U
data_Li3Mn2V3O12
_cell_length_a 9.197
_cell_length_b 8.826
_cell_length_c 15.084
_cell_angle_alpha 57.00
_cell_angle_beta 90.00
_cell_angle_gamma 90.00
_space_group_name_H-M_alt 'P 1'
_space_group_IT_number 1
loop_
_space_group_symop_operation_xyz
'x,y,z'
loop_
_atom_site_label
_atom_site_type_symbol
_atom_site_fract_x
_atom_site_fract_y
_atom_site_fract_z
_atom_site_occupancy
O1 O 0.830 0.769 0.427 1
O2 O 0.469 0.538 0.215 1
O3 O 0.870 0.518 0.090 1
O4 O 0.513 0.129 0.246 1
O5 O 0.013 0.871 0.254 1
O6 O 0.418 0.871 0.194 1
O7 O 0.604 0.833 0.596 1
O8 O 0.185 0.718 0.160 1
O9 O 0.987 0.129 0.746 1
O10 O 0.712 0.981 0.191 1
O11 O 0.815 0.282 0.840 1
O12 O 0.685 0.282 0.340 1
O13 O 0.876 0.390 0.559 1
O14 O 0.081 0.852 0.510 1
O15 O 0.082 0.871 0.694 1
O16 O 0.487 0.871 0.754 1
O17 O 0.155 0.462 0.106 1
O18 O 0.531 0.462 0.785 1
O19 O 0.345 0.462 0.606 1
O20 O 0.170 0.231 0.573 1
O21 O 0.969 0.462 0.285 1
O22 O 0.896 0.833 0.096 1
O23 O 0.376 0.610 0.941 1
O24 O 0.655 0.538 0.394 1
O25 O 0.670 0.769 0.927 1
O26 O 0.552 0.183 0.564 1
O27 O 0.315 0.718 0.660 1
O28 O 0.130 0.482 0.910 1
O29 O 0.448 0.817 0.436 1
O30 O 0.104 0.167 0.904 1
O31 O 0.919 0.148 0.490 1
O32 O 0.581 0.148 0.990 1
O33 O 0.288 0.019 0.809 1
O34 O 0.624 0.390 0.059 1
O35 O 0.031 0.538 0.715 1
O36 O 0.948 0.183 0.064 1
O37 O 0.788 0.981 0.691 1
O38 O 0.918 0.129 0.306 1
O39 O 0.212 0.019 0.309 1
O40 O 0.330 0.231 0.073 1
O41 O 0.052 0.817 0.936 1
O42 O 0.370 0.482 0.410 1
O43 O 0.582 0.129 0.806 1
O44 O 0.124 0.610 0.441 1
O45 O 0.396 0.167 0.404 1
O46 O 0.630 0.518 0.590 1
O47 O 0.419 0.852 0.010 1
O48 O 0.845 0.538 0.894 1
Li1 Li 0.410 0.623 0.803 1
Li2 Li 0.910 0.377 0.697 1
Li3 Li 0.724 0.002 0.320 1
Li4 Li 0.488 0.717 0.342 1
Li5 Li 0.090 0.623 0.303 1
Li6 Li 0.776 0.002 0.820 1
Li7 Li 0.012 0.717 0.842 1
Li8 Li 0.512 0.283 0.658 1
Li9 Li 0.276 0.998 0.680 1
Li10 Li 0.988 0.283 0.158 1
Li11 Li 0.590 0.377 0.197 1
Li12 Li 0.224 0.998 0.180 1
V1 V 0.750 0.555 0.489 1
V2 V 0.886 0.964 0.148 1
V3 V 0.378 0.739 0.143 1
V4 V 0.878 0.261 0.357 1
V5 V 0.386 0.036 0.352 1
V6 V 0.614 0.964 0.648 1
V7 V 0.750 0.555 0.989 1
V8 V 0.250 0.445 0.011 1
V9 V 0.114 0.036 0.852 1
V10 V 0.622 0.261 0.857 1
V11 V 0.122 0.739 0.643 1
V12 V 0.250 0.445 0.511 1
Mn1 Mn 0.972 0.354 0.894 1
Mn2 Mn 0.028 0.646 0.106 1
Mn3 Mn 0.472 0.646 0.606 1
Mn4 Mn 0.033 0.871 0.382 1
Mn5 Mn 0.528 0.354 0.394 1
Mn6 Mn 0.533 0.129 0.118 1
Mn7 Mn 0.467 0.871 0.882 1
Mn8 Mn 0.967 0.129 0.618 1
# Spin magnetization (μB per cell): 32.00
# DFT total energy (eV per cell): -560.4
# Energy relative to the elements (eV per atom): -2.30

[3]
# Li2MnV3O8, relaxed, DFT PBE+U
data_Li2MnV3O8
_cell_length_a 5.968
_cell_length_b 6.031
_cell_length_c 10.328
_cell_angle_alpha 106.60
_cell_angle_beta 90.00
_cell_angle_gamma 60.35
_space_group_name_H-M_alt 'P 1'
_space_group_IT_number 1
loop_
_space_group_symop_operation_xyz
'x,y,z'
loop_
_atom_site_label
_atom_site_type_symbol
_atom_site_fract_x
_atom_site_fract_y
_atom_site_fract_z
_atom_site_occupancy
Mn1 Mn 0.688 0.635 0.439 1
Mn2 Mn 0.178 0.635 0.940 1
Li1 Li 0.744 0.505 0.751 1
Li2 Li 0.315 0.363 0.560 1
Li3 Li 0.823 0.362 0.060 1
Li4 Li 0.252 0.504 0.251 1
O1 O 0.655 0.209 0.633 1
O2 O 0.825 0.800 0.874 1
O3 O 0.338 0.778 0.373 1
O4 O 0.105 0.778 0.630 1
O5 O 0.896 0.217 0.369 1
O6 O 0.386 0.218 0.869 1
O7 O 0.591 0.790 0.648 1
O8 O 0.383 0.210 0.354 1
O9 O 0.119 0.790 0.148 1
O10 O 0.875 0.800 0.374 1
O11 O 0.111 0.211 0.618 1
O12 O 0.907 0.210 0.854 1
O13 O 0.617 0.778 0.130 1
O14 O 0.384 0.778 0.873 1
O15 O 0.178 0.211 0.118 1
O16 O 0.636 0.209 0.133 1
V1 V 0.008 0.001 0.503 1
V2 V 0.239 0.998 0.753 1
V3 V 0.263 0.997 0.252 1
V4 V 0.742 0.007 0.745 1
V5 V 0.750 0.007 0.246 1
V6 V 0.492 0.001 0.003 1
# Spin magnetization (μB per cell): 16.00
# ΔE to the lowest computed polymorph (meV per atom): 11
# DFT total energy (eV per cell): -203.1
# Energy relative to the elements (eV per atom): -2.43

[4]
# Li2MnV3O8, relaxed, DFT PBE+U
data_Li2MnV3O8
_cell_length_a 5.897
_cell_length_b 6.059
_cell_length_c 6.119
_cell_angle_alpha 57.45
_cell_angle_beta 59.53
_cell_angle_gamma 61.30
_space_group_name_H-M_alt 'P 1'
_space_group_IT_number 1
loop_
_space_group_symop_operation_xyz
'x,y,z'
loop_
_atom_site_label
_atom_site_type_symbol
_atom_site_fract_x
_atom_site_fract_y
_atom_site_fract_z
_atom_site_occupancy
O1 O 0.285 0.705 0.248 1
O2 O 0.723 0.238 0.252 1
O3 O 0.729 0.746 0.295 1
O4 O 0.266 0.266 0.255 1
O5 O 0.715 0.295 0.752 1
O6 O 0.277 0.762 0.748 1
O7 O 0.271 0.254 0.705 1
O8 O 0.734 0.734 0.745 1
Li1 Li 0.141 0.115 0.114 1
Li2 Li 0.859 0.885 0.886 1
Mn1 Mn 0.500 0.500 0.500 1
V1 V 0.500 0.000 0.500 1
V2 V 0.000 0.500 0.500 1
V3 V 0.500 0.500 0.000 1
# Spin magnetization (μB per cell): 8.00
# ΔE to the lowest computed polymorph (meV per atom): 24
# DFT total energy (eV per cell): -101.3
# Energy relative to the elements (eV per atom): -2.41

[5]
# Li2MnV2O6, relaxed, DFT PBE+U
data_Li2MnV2O6
_cell_length_a 5.923
_cell_length_b 6.599
_cell_length_c 6.830
_cell_angle_alpha 72.35
_cell_angle_beta 76.43
_cell_angle_gamma 64.47
_space_group_name_H-M_alt 'P 1'
_space_group_IT_number 1
loop_
_space_group_symop_operation_xyz
'x,y,z'
loop_
_atom_site_label
_atom_site_type_symbol
_atom_site_fract_x
_atom_site_fract_y
_atom_site_fract_z
_atom_site_occupancy
O1 O 0.361 0.755 0.531 1
O2 O 0.811 0.556 0.161 1
O3 O 0.017 0.109 0.158 1
O4 O 0.118 0.240 0.480 1
O5 O 0.189 0.444 0.839 1
O6 O 0.309 0.561 0.147 1
O7 O 0.983 0.891 0.842 1
O8 O 0.882 0.760 0.520 1
O9 O 0.459 0.898 0.804 1
O10 O 0.541 0.102 0.196 1
O11 O 0.639 0.245 0.469 1
O12 O 0.691 0.439 0.853 1
Li1 Li 0.749 0.497 0.500 1
Li2 Li 0.914 0.846 0.161 1
Li3 Li 0.251 0.503 0.500 1
Li4 Li 0.086 0.154 0.839 1
V1 V 0.181 0.316 0.158 1
V2 V 0.670 0.343 0.164 1
V3 V 0.330 0.657 0.836 1
V4 V 0.819 0.684 0.842 1
Mn1 Mn 0.000 0.000 0.500 1
Mn2 Mn 0.500 0.000 0.500 1
# Spin magnetization (μB per cell): 14.00
# DFT total energy (eV per cell): -154.7
# Energy relative to the elements (eV per atom): -2.33

[6]
# Li4Mn3V5O16, relaxed, DFT PBE+U
data_Li4Mn3V5O16
_cell_length_a 5.843
_cell_length_b 5.897
_cell_length_c 9.558
_cell_angle_alpha 91.59
_cell_angle_beta 90.50
_cell_angle_gamma 117.76
_space_group_name_H-M_alt 'P 1'
_space_group_IT_number 1
loop_
_space_group_symop_operation_xyz
'x,y,z'
loop_
_atom_site_label
_atom_site_type_symbol
_atom_site_fract_x
_atom_site_fract_y
_atom_site_fract_z
_atom_site_occupancy
O1 O 0.526 0.052 0.158 1
O2 O 0.165 0.316 0.408 1
O3 O 0.671 0.337 0.391 1
O4 O 0.666 0.799 0.400 1
O5 O 0.040 0.518 0.660 1
O6 O 0.805 0.161 0.910 1
O7 O 0.832 0.672 0.897 1
O8 O 0.968 0.506 0.156 1
O9 O 0.325 0.170 0.905 1
O10 O 0.492 0.536 0.648 1
O11 O 0.319 0.668 0.896 1
O12 O 0.001 0.996 0.195 1
O13 O 0.004 0.998 0.694 1
O14 O 0.535 0.500 0.145 1
O15 O 0.467 0.961 0.658 1
O16 O 0.158 0.796 0.409 1
Mn1 Mn 0.171 0.337 0.788 1
Mn2 Mn 0.342 0.174 0.286 1
Mn3 Mn 0.832 0.168 0.288 1
Li1 Li 0.339 0.683 0.104 1
Li2 Li 0.999 0.004 0.007 1
Li3 Li 0.669 0.333 0.601 1
Li4 Li 0.004 0.993 0.506 1
V1 V 0.658 0.833 0.788 1
V2 V 0.668 0.348 0.012 1
V3 V 0.172 0.828 0.783 1
V4 V 0.837 0.660 0.284 1
V5 V 0.334 0.654 0.513 1
# Spin magnetization (μB per cell): 18.00
# DFT total energy (eV per cell): -200.9
# Energy relative to the elements (eV per atom): -2.35

Please write out number 5 again, unchanged.
# Li2MnV2O6, relaxed, DFT PBE+U
data_Li2MnV2O6
_cell_length_a 5.923
_cell_length_b 6.599
_cell_length_c 6.830
_cell_angle_alpha 72.35
_cell_angle_beta 76.43
_cell_angle_gamma 64.47
_space_group_name_H-M_alt 'P 1'
_space_group_IT_number 1
loop_
_space_group_symop_operation_xyz
'x,y,z'
loop_
_atom_site_label
_atom_site_type_symbol
_atom_site_fract_x
_atom_site_fract_y
_atom_site_fract_z
_atom_site_occupancy
O1 O 0.361 0.755 0.531 1
O2 O 0.811 0.556 0.161 1
O3 O 0.017 0.109 0.158 1
O4 O 0.118 0.240 0.480 1
O5 O 0.189 0.444 0.839 1
O6 O 0.309 0.561 0.147 1
O7 O 0.983 0.891 0.842 1
O8 O 0.882 0.760 0.520 1
O9 O 0.459 0.898 0.804 1
O10 O 0.541 0.102 0.196 1
O11 O 0.639 0.245 0.469 1
O12 O 0.691 0.439 0.853 1
Li1 Li 0.749 0.497 0.500 1
Li2 Li 0.914 0.846 0.161 1
Li3 Li 0.251 0.503 0.500 1
Li4 Li 0.086 0.154 0.839 1
V1 V 0.181 0.316 0.158 1
V2 V 0.670 0.343 0.164 1
V3 V 0.330 0.657 0.836 1
V4 V 0.819 0.684 0.842 1
Mn1 Mn 0.000 0.000 0.500 1
Mn2 Mn 0.500 0.000 0.500 1
# Spin magnetization (μB per cell): 14.00
# DFT total energy (eV per cell): -154.7
# Energy relative to the elements (eV per atom): -2.33

- What is the energy relative to the elements in the second record?
  -2.30 eV per atom